Record 1
# Rb3RuF6 PBE optimized geometry
data_Rb3RuF6
_chemical_formula_sum 'Rb3 Ru1 F6'
_symmetry_space_group_name_H-M 'P 1'
_symmetry_Int_Tables_number 1
_symmetry_space_group_name_Hall 'P 1'
_cell_length_a 6.596
_cell_length_b 6.596
_cell_length_c 6.596
_cell_angle_alpha 60.00
_cell_angle_beta 60.00
_cell_angle_gamma 60.00
loop_
_atom_site_label
_atom_site_type_symbol
_atom_site_fract_x
_atom_site_fract_y
_atom_site_fract_z
Rb1 Rb 0.000 0.000 0.000
Rb2 Rb 0.250 0.250 0.250
Rb3 Rb 0.750 0.750 0.750
Ru1 Ru 0.500 0.500 0.500
F1 F 0.283 0.283 0.717
F2 F 0.283 0.717 0.283
F3 F 0.283 0.717 0.717
F4 F 0.717 0.283 0.283
F5 F 0.717 0.283 0.717
F6 F 0.717 0.717 0.283
# space-group type	No. 225
# VASP energy	-0.3433	Ry/atom
# energy of formation from the pure elements	-248.7	kJ/mol of atoms

=====

Record 2
# Cs3IO PBE optimized geometry
data_Cs3IO
_chemical_formula_sum 'Cs6 I2 O2'
_symmetry_space_group_name_H-M 'P 1'
_symmetry_Int_Tables_number 1
_symmetry_space_group_name_Hall 'P 1'
_cell_length_a 8.322
_cell_length_b 8.322
_cell_length_c 7.340
_cell_angle_alpha 90.00
_cell_angle_beta 90.00
_cell_angle_gamma 120.00
loop_
_atom_site_label
_atom_site_type_symbol
_atom_site_fract_x
_atom_site_fract_y
_atom_site_fract_z
Cs1 Cs 0.152 0.304 0.250
Cs2 Cs 0.152 0.848 0.250
Cs3 Cs 0.304 0.152 0.750
Cs4 Cs 0.696 0.848 0.250
Cs5 Cs 0.848 0.152 0.750
Cs6 Cs 0.848 0.696 0.750
I1 I 0.333 0.667 0.750
I2 I 0.667 0.333 0.250
O1 O 0.000 0.000 0.000
O2 O 0.000 0.000 0.500
# space-group type	No. 194
# VASP energy	-0.2262	Ry/atom
# energy of formation from the pure elements	-133.4	kJ/mol of atoms

=====

Record 3
# DyNi2Bi2 PBE optimized geometry
data_DyNi2Bi2
_chemical_formula_sum 'Dy2 Ni4 Bi4'
_symmetry_space_group_name_H-M 'P 1'
_symmetry_Int_Tables_number 1
_symmetry_space_group_name_Hall 'P 1'
_cell_length_a 4.599
_cell_length_b 4.599
_cell_length_c 10.305
_cell_angle_alpha 90.00
_cell_angle_beta 90.00
_cell_angle_gamma 90.00
loop_
_atom_site_label
_atom_site_type_symbol
_atom_site_fract_x
_atom_site_fract_y
_atom_site_fract_z
Dy1 Dy 0.250 0.250 0.223
Dy2 Dy 0.750 0.750 0.777
Ni1 Ni 0.250 0.250 0.632
Ni2 Ni 0.250 0.750 0.000
Ni3 Ni 0.750 0.250 0.000
Ni4 Ni 0.750 0.750 0.368
Bi1 Bi 0.250 0.250 0.876
Bi2 Bi 0.250 0.750 0.500
Bi3 Bi 0.750 0.250 0.500
Bi4 Bi 0.750 0.750 0.124
# space-group type	No. 129
# VASP energy	-0.3689	Ry/atom
# energy of formation from the pure elements	-22.1	kJ/mol of atoms